Density functional theory data (PBE) for a relaxed structure of Sm2Pt2O7.

Lattice parameters (Å, degrees): 7.3789 7.3789 7.3789 60.00 60.00 60.00
Atoms (fractional coordinates):
Sm (0.0000, 0.0000, 0.0000)
Sm (0.0000, 0.0000, 0.5000)
Sm (0.0000, 0.5000, 0.0000)
Sm (0.5000, 0.0000, 0.0000)
Pt (0.0000, 0.5000, 0.5000)
Pt (0.5000, 0.0000, 0.5000)
Pt (0.5000, 0.5000, 0.0000)
Pt (0.5000, 0.5000, 0.5000)
O (0.1250, 0.1250, 0.1250)
O (0.1625, 0.1625, 0.5875)
O (0.1625, 0.5875, 0.1625)
O (0.1625, 0.5875, 0.5875)
O (0.4125, 0.4125, 0.8375)
O (0.4125, 0.8375, 0.4125)
O (0.4125, 0.8375, 0.8375)
O (0.5875, 0.1625, 0.1625)
O (0.5875, 0.1625, 0.5875)
O (0.5875, 0.5875, 0.1625)
O (0.8375, 0.4125, 0.4125)
O (0.8375, 0.4125, 0.8375)
O (0.8375, 0.8375, 0.4125)
O (0.8750, 0.8750, 0.8750)

Summary:
Formation energy (eV/f.u.): -26.3
Space-group type: Fd-3m
Total DFT energy (no corrections) (eV/atom): -7.0660